Material: NdBr3O18
Method: DFT, PBE
State: optimized geometry

Geometry as POSCAR:
```
NdBr3O18
1.0
8.2678 3.7971 -6.0479
-10.0236 3.3147 -2.8093
0.6390 5.7122 4.4599
Nd Br O
2 6 36
Cartesian
-4.3312 3.8506 -3.5074 Nd
2.9815 6.8912 -2.5156 Nd
-6.8600 7.7154 0.0971 Br
-1.1589 5.9177 1.8680 Br
-2.1817 10.0606 -3.2917 Br
5.7535 5.2004 -4.4227 Br
0.0831 7.2727 -5.9792 Br
1.1059 3.1297 -0.8196 Br
-2.4256 5.3453 -2.6850 O
-4.2984 6.8351 -3.1806 O
-3.8127 4.8677 -0.7304 O
1.4000 8.2938 -1.0758 O
3.3961 7.9055 0.2798 O
2.9103 9.8729 -2.1704 O
-1.5381 9.0076 0.0797 O
-4.7432 10.3026 -0.9274 O
-4.1117 7.7447 2.2582 O
0.6901 6.2187 -2.6013 O
3.9158 5.1088 -1.4497 O
3.2843 7.6666 -4.6353 O
-6.4626 4.6561 -2.4381 O
-2.6585 5.2226 -1.0190 O
-3.0631 6.8612 -3.0597 O
5.3062 7.8142 -2.2353 O
1.7918 9.8369 -1.6328 O
2.1963 8.1983 0.4079 O
-3.8588 9.9450 -2.8811 O
-5.6359 6.8329 0.8699 O
-0.8797 6.8488 0.4821 O
-1.4132 9.0099 -2.2095 O
-2.8762 5.9651 2.0755 O
-6.0418 8.4769 -1.1777 O
2.7853 3.2667 -1.2135 O
4.5098 5.9076 -5.3324 O
-0.2126 6.1939 -4.7086 O
0.3209 4.0328 -2.0170 O
1.8028 7.2466 -6.1700 O
4.9157 4.2635 -3.2849 O
-7.3184 8.9509 1.1800 O
-0.4404 6.6610 3.1680 O
-1.6623 11.6103 -2.9959 O
6.4918 6.4675 -3.5516 O
-0.3818 8.7964 -5.5092 O
0.8401 3.8471 0.6547 O
```

Values from the calculation:
E (MP2020) (eV/atom): -4.28

=====

Material: NdBrO
Method: DFT, PBE
State: optimized geometry

Geometry as POSCAR:
```
NdBrO
1.0
4.0189 0.0000 0.0000
0.0000 4.0189 0.0000
0.0000 0.0000 8.4995
Nd Br O
2 2 2
Cartesian
0.0000 2.0095 7.2947 Nd
2.0095 0.0000 1.2048 Nd
2.0095 0.0000 5.6523 Br
0.0000 2.0095 2.8471 Br
0.0000 0.0000 0.0000 O
2.0095 2.0095 0.0000 O
```

Values from the calculation:
E (MP2020) (eV/atom): -6.89

=====

Material: NdBr3O18
Method: DFT, PBE
State: optimized geometry

Geometry as POSCAR:
```
NdBr3O18
1.0
5.3661 -9.3088 0.0000
5.3661 9.3088 0.0000
0.0000 0.0000 7.6644
Nd Br O
2 6 36
Cartesian
5.3661 3.1341 2.1451 Nd
5.3661 -3.1341 5.9773 Nd
5.3661 6.5622 2.1521 Br
2.4047 1.3729 2.2934 Br
8.3275 1.3729 2.2934 Br
5.3661 -6.5622 5.9843 Br
8.3275 -1.3729 6.1256 Br
2.4047 -1.3729 6.1256 Br
5.3661 1.7071 6.5794 O
6.5173 3.6962 6.4068 O
4.2148 3.6962 6.4068 O
5.3661 -1.7071 2.7472 O
4.2148 -3.6962 2.5746 O
6.5173 -3.6962 2.5746 O
5.3661 1.4777 3.8520 O
6.7576 4.0260 3.8605 O
3.9745 4.0260 3.8605 O
5.3661 -1.4777 0.0198 O
3.9745 -4.0260 0.0283 O
6.7576 -4.0260 0.0283 O
5.3661 4.3964 6.9479 O
4.2272 2.4287 7.1240 O
6.5050 2.4287 7.1240 O
5.3661 -4.3964 3.1157 O
6.5050 -2.4287 3.2918 O
4.2272 -2.4287 3.2918 O
8.0118 3.0586 2.1823 O
4.0659 5.4384 2.0605 O
4.0170 0.8049 2.1296 O
6.7151 0.8049 2.1296 O
2.7204 3.0586 2.1823 O
6.6662 5.4384 2.0605 O
2.7204 -3.0586 6.0145 O
6.6662 -5.4384 5.8927 O
6.7151 -0.8049 5.9618 O
4.0170 -0.8049 5.9618 O
8.0118 -3.0586 6.0145 O
4.0659 -5.4384 5.8927 O
5.3661 7.2519 3.6487 O
1.8661 1.0348 3.8179 O
8.8660 1.0348 3.8179 O
5.3661 -7.2519 7.4809 O
8.8660 -1.0348 7.6501 O
1.8661 -1.0348 7.6501 O
```

=====

Material: Nd7Br3O18
Method: DFT, PBE
State: optimized geometry

Geometry as POSCAR:
```
Nd7Br3O18
1.0
-10.9597 10.9495 -2.7032
-4.2867 -14.7270 3.4716
-0.0369 1.0171 4.2694
Nd Br O
14 6 36
Cartesian
-9.5855 -6.3061 4.8037 Nd
-5.6978 3.5457 0.2341 Nd
-5.8119 -2.3896 3.9032 Nd
-9.4713 -0.3708 1.1346 Nd
-4.2186 -7.5202 5.1392 Nd
-11.0646 4.7598 -0.1015 Nd
-10.4312 8.2772 1.3220 Nd
-4.8521 -11.0376 3.7157 Nd
-3.3647 2.0060 2.8771 Nd
-11.9185 -4.7664 2.1607 Nd
-12.4931 -0.8226 3.4722 Nd
-2.7902 -1.9378 1.5656 Nd
-8.7630 3.1535 2.5571 Nd
-6.5203 -5.9139 2.4807 Nd
-8.7851 -2.2150 3.8359 Br
-6.4981 -0.5454 1.2018 Br
-2.5715 -5.1024 4.5774 Br
-12.7118 2.3420 0.4603 Br
-8.2595 -8.8986 5.4327 Br
-7.0238 6.1382 -0.3950 Br
-10.7055 4.6093 2.1935 O
-4.5778 -7.3697 2.8443 O
-6.4924 4.0646 2.3596 O
-8.7909 -6.8250 2.6781 O
-9.0911 0.7866 3.1181 O
-6.1921 -3.5470 1.9196 O
-12.0904 -5.6203 4.6186 O
-3.1929 2.8599 0.4191 O
-3.9446 -0.6210 3.4979 O
-11.3387 -2.1394 1.5398 O
-3.5811 -9.9747 5.7295 O
-11.7022 7.2143 -0.6917 O
-13.0910 -4.6285 4.3737 O
-2.1923 1.8681 0.6640 O
-2.5596 -0.2722 3.4268 O
-12.7236 -2.4882 1.6110 O
-3.9654 -11.3153 6.0456 O
-11.3178 8.5549 -1.0078 O
-10.1525 5.9531 1.8781 O
-5.1308 -8.7135 3.1596 O
-5.5735 2.9292 2.6381 O
-9.7097 -5.6896 2.3997 O
-10.5630 0.5782 3.1551 O
-4.7203 -3.3386 1.8827 O
-11.6701 -3.0753 4.0159 O
-3.6131 0.3149 1.0218 O
-1.8898 -2.2432 3.9021 O
-13.3935 -0.5172 1.1356 O
-6.0561 -10.8975 5.9280 O
-9.2271 8.1371 -0.8902 O
-7.8181 -4.8350 4.4684 O
-7.4651 2.0746 0.5693 O
-5.3890 -4.6116 4.4362 O
-9.8942 1.8512 0.6016 O
-6.4089 -6.7694 4.9414 O
-8.8743 4.0090 0.0963 O
```

Values from the calculation:
E (MP2020) (eV/atom): -6.41

=====

Material: Rb7Nd11Te12Br16O36
Method: DFT, PBE
State: optimized geometry

Geometry as POSCAR:
```
Rb7Nd11Te12Br16O36
1.0
1.1170 -11.6455 11.3713
-15.1112 3.4931 5.0617
2.0102 -4.8947 -16.9139
Rb Nd Te Br O
14 22 24 32 72
Cartesian
-1.9350 -10.3082 1.3370 Rb
-10.0491 -2.7389 -1.8178 Rb
-1.3501 -4.0424 4.9436 Rb
-12.6442 -4.1101 11.4894 Rb
-9.2014 0.7877 4.4635 Rb
-4.7928 -8.9402 11.9695 Rb
-9.1089 -2.1884 7.4802 Rb
-4.8853 -5.9640 8.9527 Rb
-1.8372 -0.9749 2.0590 Rb
-12.1570 -7.1775 14.3739 Rb
-5.2857 -2.9839 6.1085 Rb
-8.7085 -5.1686 10.3245 Rb
-0.8863 -9.6945 10.5076 Rb
-13.1079 1.5420 5.9254 Rb
-9.4906 -8.5617 3.8678 Nd
-2.4935 -4.4855 -4.3487 Nd
0.8828 -7.3224 1.2535 Nd
-2.5423 -9.3177 5.2755 Nd
-6.9579 -2.6034 0.8818 Nd
-10.9298 1.1018 -0.6624 Nd
-12.8669 -5.7248 -1.7344 Nd
-9.4418 -3.7294 -5.7564 Nd
-5.0262 -10.4438 -1.3627 Nd
-1.0543 -14.1490 0.1816 Nd
1.7749 -11.1658 0.0943 Nd
-5.6449 -9.4506 2.5796 Nd
-6.3392 -3.5965 -3.0605 Nd
-13.7590 -1.8814 -0.5752 Nd
-9.7749 -5.5980 0.9739 Nd
-10.3233 0.1201 -4.6096 Nd
-1.6607 -13.1673 4.1287 Nd
-2.2092 -7.4492 -1.4548 Nd
1.5636 -8.2701 -2.7713 Nd
-6.5505 -0.7008 -5.9261 Nd
-5.9920 -6.5236 -0.2404 Nd
1.0051 -2.4473 -8.4569 Nd
-10.8722 -5.0016 4.7895 Te
-6.2869 -8.8441 6.1238 Te
-3.6021 -3.7711 -0.6482 Te
0.4372 -1.9222 -4.8714 Te
-6.8926 -5.6880 3.2157 Te
-10.2665 -8.1577 7.6976 Te
-3.5881 -0.7582 -3.7639 Te
0.4232 -4.9351 -1.7557 Te
-1.1119 -8.0456 -5.2704 Te
-5.6972 -4.2030 -6.6047 Te
-8.3819 -9.2761 0.1674 Te
-12.4213 -11.1250 4.3905 Te
-5.0914 -7.3592 -3.6966 Te
-1.7176 -4.8894 -8.1785 Te
-8.3959 -12.2889 3.2830 Te
-12.4073 -8.1121 1.2748 Te
-1.0722 -10.7703 -1.9909 Te
-4.3841 -12.6997 1.8982 Te
-8.9219 -5.9571 -2.4545 Te
-12.7626 -2.3744 -3.9478 Te
-10.9119 -2.2768 1.5100 Te
-7.5999 -0.3474 -2.3791 Te
-3.0621 -7.0900 1.9736 Te
0.7785 -10.6728 3.4669 Te
-0.2569 -7.2896 4.2636 Br
-8.3710 0.2797 1.1088 Br
-11.7272 -5.7576 -4.7444 Br
-3.6130 -13.3268 -1.5896 Br
-11.6683 -4.5158 8.0888 Br
-3.8882 -6.4468 5.6196 Br
-4.6581 -0.5752 0.0048 Br
-12.0153 1.2580 2.3324 Br
-7.9773 -2.5088 3.9024 Br
-7.5791 -8.4538 9.8061 Br
-0.0391 -10.0374 7.1161 Br
-0.4061 -4.4183 1.5306 Br
-0.3158 -8.5313 -8.5697 Br
-8.0959 -6.6003 -6.1005 Br
-7.3259 -12.4719 -0.4857 Br
0.0312 -14.3052 -2.8133 Br
-4.0068 -10.5383 -4.3833 Br
-4.4049 -4.5933 -10.2869 Br
-11.9449 -3.0097 -7.5970 Br
-11.5780 -8.6288 -2.0115 Br
-7.7853 -5.4940 6.8419 Br
-0.7882 -1.4178 -1.3746 Br
-4.1988 -7.5531 -7.3228 Br
-11.1959 -11.6293 0.8937 Br
-11.9144 -1.7687 5.3075 Br
-3.6847 -9.2706 8.3266 Br
-4.3680 -3.4190 2.6827 Br
-11.2311 -7.6203 10.9513 Br
-0.0697 -11.2784 -5.7884 Br
-8.2994 -3.7765 -8.8074 Br
-7.6161 -9.6281 -3.1636 Br
-0.7530 -5.4268 -11.4322 Br
-12.7979 -5.0501 4.8500 O
-4.8854 -9.7386 5.1491 O
-5.5203 -3.8982 -0.5110 O
-13.2800 0.7550 -0.8612 O
-7.2264 -4.8921 1.4924 O
-10.4569 -9.8966 8.5066 O
-2.9070 -11.5842 5.9183 O
0.3349 -6.6975 -0.9809 O
0.8139 -7.9971 -5.3309 O
-7.0987 -3.3085 -5.6300 O
-6.4637 -9.1489 0.0301 O
1.2959 -13.8022 0.3804 O
-4.7577 -8.1550 -1.9733 O
-1.5271 -3.1505 -8.9875 O
-9.0771 -1.4629 -6.3992 O
-12.3189 -6.3496 0.5000 O
-10.9069 -6.8921 4.9765 O
-7.1067 -8.4907 4.4465 O
-3.8391 -3.5524 -2.5207 O
-0.1803 -3.6779 -4.4892 O
-8.6667 -6.3648 3.1482 O
-9.3469 -9.0180 6.2748 O
-2.6254 -2.0676 -4.7481 O
-1.3940 -5.1627 -2.2618 O
-1.0772 -6.1551 -5.4574 O
-4.8773 -4.5564 -4.9274 O
-8.1450 -9.4947 2.0398 O
-11.8038 -9.3692 4.0083 O
-3.3173 -6.6823 -3.6291 O
-2.6372 -4.0291 -6.7557 O
-9.3586 -10.9795 4.2672 O
-10.5901 -7.8844 1.7809 O
-0.5727 -11.9208 -0.5301 O
-4.6150 -11.0659 0.9059 O
-8.6790 -4.4329 -3.6055 O
-12.7369 -3.4154 -2.3283 O
-10.5055 -5.4969 -1.4607 O
-10.9104 -2.3513 -4.4731 O
-2.4969 -13.0418 1.7294 O
-2.6908 -9.9450 -1.3536 O
-11.4114 -1.1263 0.0492 O
-7.3691 -1.9812 -1.3868 O
-3.3051 -8.6143 3.1246 O
0.7528 -9.6318 1.8474 O
-1.4786 -7.5502 0.9798 O
-1.0737 -10.6958 3.9922 O
-9.4872 -0.0053 -2.2103 O
-9.2933 -3.1022 0.8727 O
-11.0568 -4.7692 2.8930 O
-6.9472 -10.5963 6.5469 O
-3.5813 -5.6807 -0.4532 O
0.6885 -13.1778 4.8314 O
-5.9001 -7.0316 2.2697 O
-12.1038 -8.3339 7.1702 O
-5.3751 -1.4593 -3.7788 O
-13.7458 -2.2607 1.8475 O
-0.9273 -8.2780 -3.3738 O
-5.0369 -2.4508 -7.0278 O
-8.4028 -7.3664 -0.0277 O
-12.6726 0.1307 -5.3123 O
-6.0839 -6.0156 -2.7506 O
0.1198 -4.7132 -7.6510 O
-6.6089 -11.5879 3.2979 O
1.7618 -10.7864 -2.3283 O
-0.0907 -9.3708 -1.1574 O
-4.0046 -11.6508 3.4385 O
-7.8924 -5.0585 -1.1319 O
-12.4311 -0.8245 -2.8966 O
-11.8934 -3.6764 0.6765 O
-7.9795 -1.3963 -3.9194 O
-4.0917 -7.9886 0.6510 O
0.4470 -12.2226 2.4157 O
```

Values from the calculation:
E (MP2020) (eV/atom): -5.96

=====

Material: RbNd2Br5
Method: DFT, PBE
State: optimized geometry

Geometry as POSCAR:
```
RbNd2Br5
1.0
7.6439 0.0000 0.0000
0.0000 9.4000 0.0000
0.0000 0.0780 14.1581
Rb Nd Br
4 8 20
Cartesian
0.5366 4.7295 4.7644 Rb
7.1073 4.7484 9.3937 Rb
4.3586 4.7094 2.3147 Rb
3.2853 4.7685 11.8434 Rb
0.7860 9.3636 4.8316 Nd
6.8579 0.1143 9.3265 Nd
4.6080 0.0754 2.2475 Nd
3.0359 9.4026 11.9106 Nd
0.2537 1.9438 14.1363 Nd
7.3902 7.5341 0.0218 Nd
4.0757 7.5731 7.1008 Nd
3.5682 1.9048 7.0573 Nd
1.3037 4.9641 1.1010 Br
6.3402 4.5138 13.0571 Br
5.1257 4.4749 5.9781 Br
2.5182 5.0031 8.1800 Br
6.5897 2.2392 2.6739 Br
1.0542 7.2387 11.4842 Br
2.7678 7.1997 4.4051 Br
4.8762 2.2782 9.7530 Br
2.6364 2.1874 4.1180 Br
5.0075 7.2905 10.0401 Br
6.4584 7.2515 2.9610 Br
1.1856 2.2264 11.1971 Br
3.4447 2.0101 14.1419 Br
4.1993 7.4678 0.0162 Br
7.2667 7.5068 7.0952 Br
0.3773 1.9712 7.0629 Br
5.2987 0.2586 5.2296 Br
2.3452 9.2194 8.9285 Br
1.4767 9.1804 1.8494 Br
6.1672 0.2975 12.3087 Br
```

Values from the calculation:
E (MP2020) (eV/atom): -4.32

=====

Material: Rb2NdBr5
Method: DFT, PBE
State: optimized geometry

Geometry as POSCAR:
```
Rb2NdBr5
1.0
8.7973 0.0000 0.0000
0.0000 9.3760 0.0000
0.0000 0.0000 14.1398
Rb Nd Br
8 4 20
Cartesian
8.3321 0.0466 11.7040 Rb
0.4652 9.3294 2.4358 Rb
3.9334 9.3294 9.5057 Rb
0.4652 4.7346 2.4358 Rb
4.8639 0.0466 4.6341 Rb
8.3321 4.6414 11.7040 Rb
4.8639 4.6414 4.6341 Rb
3.9334 4.7346 9.5057 Rb
8.1424 7.0320 7.1323 Nd
0.6549 2.3440 7.0075 Nd
3.7437 2.3440 14.0774 Nd
5.0536 7.0320 0.0624 Nd
1.0620 7.0320 9.5267 Br
7.7354 2.3440 4.6131 Br
5.4606 2.3440 11.6830 Br
3.3367 7.0320 2.4568 Br
7.3860 0.3953 8.1105 Br
1.4113 8.9807 6.0293 Br
2.9874 8.9807 13.0992 Br
1.4113 5.0833 6.0293 Br
5.8100 0.3953 1.0406 Br
7.3860 4.2927 8.1105 Br
5.8100 4.2927 1.0406 Br
2.9874 5.0833 13.0992 Br
5.1592 7.0320 7.2070 Br
3.6381 2.3440 6.9328 Br
0.7606 2.3440 14.0027 Br
8.0368 7.0320 0.1371 Br
5.7970 7.0320 11.3374 Br
3.0003 2.3440 2.8024 Br
1.3984 2.3440 9.8723 Br
7.3989 7.0320 4.2675 Br
```

Values from the calculation:
E (MP2020) (eV/atom): -4.08

=====

Material: NdSBr
Method: DFT, PBE
State: optimized geometry

Geometry as POSCAR:
```
NdSBr
1.0
7.1060 0.0000 0.0000
0.0000 7.0038 0.0000
0.0000 1.2481 6.9923
Nd S Br
4 4 4
Cartesian
0.2407 2.4362 2.2282 Nd
3.7937 2.3138 4.7642 Nd
6.8653 5.8157 4.7642 Nd
3.3123 5.9380 2.2282 Nd
5.3897 0.6206 3.1512 S
5.2694 4.1225 3.1512 S
1.7163 7.6313 3.8412 S
1.8367 4.1294 3.8412 S
4.4087 6.7069 6.4245 Br
6.2504 3.2050 6.4245 Br
2.6973 1.5450 0.5679 Br
0.8557 5.0469 0.5679 Br
```

Values from the calculation:
E (MP2020) (eV/atom): -5.87

=====

| no. | calculated total energy (hartree per atom) | formation enthalpy at 0 K (eV per formula unit) |
| --- | --- | --- |
| 1 | -0.152 | 4.6 |
| 2 | -0.245 | -9.3 |
| 3 | -0.158 | 4.2 |
| 4 | -0.232 | -52.1 |
| 5 | -0.208 | -187.4 |
| 6 | -0.146 | -15.8 |
| 7 | -0.138 | -17.7 |
| 8 | -0.203 | -7.1 |